Here is Rb2CrCl4 after structural relaxation from the Materials Project. Energies are from r²SCAN.

Results
ΔE_f = -1.851 eV per atom
E_tot = -161.01 eV/cell
Offset from the most stable computed form = 0.00 eV per formula unit

Cell lengths 8.709, 7.167, 7.169 Å; angles 90.00, 114.04, 90.00 degrees
Space group P2_1/c (No. 14)
Symmetry-distinct sites (fractional):
Rb1 0.220 0.000 0.362 (multiplicity 4)
Cr1 0.500 0.000 0.000 (multiplicity 2)
Cl1 0.193 0.000 0.848 (multiplicity 4)
Cl2 0.500 0.237 0.237 (multiplicity 4)